A relaxed structure of GaSnPS2O12. Source: the Materials Project, functional PBE-GGA.

Cell: 8.6234 8.6234 22.4037 Å, 90.18 90.18 60.05°
Element x y z (fractional)
Ga 0.0001 0.9999 0.0000
Ga 0.9999 0.0001 0.5000
Ga 0.3146 0.3398 0.1664
Ga 0.3398 0.3146 0.6664
Ga 0.6730 0.6787 0.8334
Ga 0.6787 0.6730 0.3334
Sn 0.3334 0.3336 0.8743
Sn 0.3336 0.3334 0.3743
Sn 0.6594 0.6772 0.5411
Sn 0.6772 0.6594 0.0411
Sn 0.9988 0.9992 0.2076
Sn 0.9992 0.9988 0.7076
P 0.0058 0.2820 0.1028
P 0.0415 0.6207 0.2700
P 0.2820 0.0058 0.6028
P 0.6207 0.0415 0.7700
P 0.6735 0.9566 0.4365
P 0.9566 0.6735 0.9365
S 0.0071 0.7030 0.6034
S 0.0387 0.3385 0.7698
S 0.2908 0.7054 0.1028
S 0.3385 0.0387 0.2698
S 0.3400 0.6203 0.7695
S 0.3742 0.9530 0.9370
S 0.3746 0.6711 0.4359
S 0.6203 0.3400 0.2695
S 0.6711 0.3746 0.9359
S 0.7030 0.0071 0.1034
S 0.7054 0.2908 0.6028
S 0.9530 0.3742 0.4370
O 0.0232 0.1747 0.7639
O 0.0230 0.8088 0.2628
O 0.0334 0.1651 0.0475
O 0.0346 0.7862 0.5504
O 0.1200 0.3707 0.7170
O 0.1289 0.5037 0.2151
O 0.1329 0.3582 0.4310
O 0.1437 0.5024 0.9290
O 0.1519 0.2981 0.8245
O 0.1594 0.5450 0.3270
O 0.1651 0.0334 0.5475
O 0.1671 0.5272 0.6135
O 0.1715 0.3012 0.1117
O 0.1747 0.0232 0.2639
O 0.1762 0.8011 0.7642
O 0.1772 0.7869 0.0501
O 0.1967 0.9724 0.9451
O 0.1978 0.8297 0.4448
O 0.2075 0.9640 0.6601
O 0.2182 0.8179 0.1577
O 0.2981 0.1519 0.3245
O 0.2976 0.5489 0.8243
O 0.3012 0.1715 0.6117
O 0.3124 0.5268 0.1118
O 0.3567 0.5081 0.4309
O 0.3582 0.1329 0.9310
O 0.3654 0.5097 0.7163
O 0.3707 0.1200 0.2170
O 0.4555 0.8406 0.8838
O 0.4594 0.6975 0.3828
O 0.4697 0.6915 0.0959
O 0.4700 0.8353 0.5978
O 0.4871 0.8785 0.9920
O 0.4882 0.6282 0.4908
O 0.4955 0.8600 0.2787
O 0.4994 0.6376 0.7796
O 0.5024 0.1437 0.4290
O 0.5037 0.1289 0.7151
O 0.5081 0.3567 0.9309
O 0.5097 0.3654 0.2163
O 0.5272 0.1671 0.1135
O 0.5268 0.3124 0.6118
O 0.5450 0.1594 0.8270
O 0.5489 0.2976 0.3243
O 0.6282 0.4882 0.9908
O 0.6287 0.8821 0.4929
O 0.6376 0.4994 0.2796
O 0.6375 0.8579 0.7788
O 0.6835 0.8450 0.0974
O 0.6915 0.4697 0.5959
O 0.6975 0.4594 0.8828
O 0.7025 0.8389 0.3818
O 0.7862 0.0346 0.0504
O 0.7869 0.1772 0.5501
O 0.8011 0.1762 0.2642
O 0.8088 0.0230 0.7628
O 0.8179 0.2182 0.6577
O 0.8185 0.9628 0.1578
O 0.8297 0.1978 0.9448
O 0.8353 0.4700 0.0978
O 0.8389 0.7025 0.8818
O 0.8388 0.9753 0.4479
O 0.8406 0.4555 0.3838
O 0.8450 0.6835 0.5974
O 0.8579 0.6375 0.2788
O 0.8600 0.4955 0.7787
O 0.8785 0.4871 0.4920
O 0.8821 0.6287 0.9929
O 0.9628 0.8185 0.6578
O 0.9640 0.2075 0.1601
O 0.9724 0.1967 0.4451
O 0.9753 0.8388 0.9479

Output
**Size of the total moment**: 0.00 μB per formula unit
**Formation enthalpy at 0 K**: -2.08 eV per atom
**Total DFT energy (no corrections)**: -6.31 eV/atom
**E (MP2020)**: -6.791 eV/atom